The following is a PBE calculation of a relaxed La2MgNi9 crystal, from Materials Project.

Total magnetization in μB per formula unit: 1.781
Crystal system: trigonal

Unit cell a=4.993 b=4.993 c=8.516 alpha=90.00 beta=107.05 gamma=60.00
Element x y z (fractional)
Ni  0.665  0.667  0.998
Mg  0.282  0.859  0.423
Ni  0.165  0.417  0.251
Ni  0.831  0.585  0.750
Ni  0.334  0.081  0.750
Ni  0.332  0.334  0.999
La  0.714  0.143  0.571
Ni  0.997  0.501  0.496
La  0.008  0.996  0.012
Ni  0.334  0.585  0.750
Ni  0.668  0.915  0.251
Ni  0.668  0.417  0.251

=====

The following is a PBE calculation of a relaxed La2MgNi2 crystal, from Materials Project.

Crystal system: tetragonal

Unit cell a=7.623 b=7.623 c=3.903 alpha=90.00 beta=90.00 gamma=90.00
Element x y z (fractional)
La  0.172  0.328  0.500
Ni  0.622  0.878  0.000
Ni  0.878  0.378  0.000
Ni  0.378  0.122  0.000
Ni  0.122  0.622  0.000
La  0.328  0.828  0.500
La  0.828  0.672  0.500
La  0.672  0.172  0.500
Mg  0.500  0.500  0.000
Mg  0.000  0.000  0.000

=====

The following is a PBE calculation of a relaxed LaMgNi4 crystal, from Materials Project.

Crystal system: cubic

Unit cell a=5.036 b=5.036 c=5.036 alpha=60.00 beta=60.00 gamma=60.00
Element x y z (fractional)
Ni  0.377  0.377  0.870
Ni  0.870  0.377  0.377
Ni  0.377  0.377  0.377
Mg  0.750  0.750  0.750
Ni  0.377  0.870  0.377
La  0.000  0.000  0.000

=====

The following is a PBE calculation of a relaxed La2MgNi2 crystal, from Materials Project.

Total magnetization in μB per formula unit: 0.000
Crystal system: monoclinic

Unit cell a=7.653 b=10.980 c=10.990 alpha=88.24 beta=90.00 gamma=90.00
Element x y z (fractional)
La  0.326  0.166  0.326
La  0.824  0.333  0.657
Ni  0.872  0.321  0.926
Ni  0.628  0.321  0.426
Mg  0.501  0.621  0.133
Ni  0.363  0.932  0.833
Mg  0.499  0.379  0.867
La  0.320  0.414  0.582
Ni  0.863  0.068  0.667
La  0.324  0.667  0.843
La  0.826  0.834  0.174
La  0.174  0.911  0.594
Mg  0.503  0.874  0.387
Ni  0.624  0.562  0.686
Ni  0.631  0.821  0.944
La  0.326  0.911  0.094
Ni  0.124  0.438  0.814
La  0.674  0.834  0.674
Ni  0.137  0.932  0.333
Mg  0.001  0.379  0.367
Mg  0.003  0.126  0.113
La  0.826  0.089  0.406
Ni  0.869  0.821  0.444
Ni  0.876  0.562  0.186
Ni  0.131  0.179  0.556
La  0.820  0.586  0.918
La  0.174  0.166  0.826
Ni  0.637  0.068  0.167
Ni  0.376  0.438  0.314
Ni  0.369  0.179  0.056
La  0.176  0.667  0.343
La  0.680  0.586  0.418
La  0.180  0.414  0.082
Mg  0.997  0.874  0.887
Ni  0.128  0.679  0.074
Ni  0.372  0.679  0.574
La  0.674  0.089  0.906
La  0.676  0.333  0.157
Mg  0.497  0.126  0.613
Mg  0.999  0.621  0.633

=====

The following is a PBE calculation of a relaxed LaMg3O4 crystal, from Materials Project.

Total magnetization in μB per formula unit: 0.002
Crystal system: cubic

Unit cell a=4.745 b=4.745 c=4.745 alpha=90.00 beta=90.00 gamma=90.00
Element x y z (fractional)
O  0.500  0.000  0.000
O  0.500  0.500  0.500
Mg  0.500  0.000  0.500
La  0.000  0.000  0.000
O  0.000  0.500  0.000
Mg  0.000  0.500  0.500
O  0.000  0.000  0.500
Mg  0.500  0.500  0.000

=====

The following is a PBE calculation of a relaxed RbLaMg14O16 crystal, from Materials Project.

ΔE to the lowest computed polymorph in eV per atom: 0.000
Crystal system: tetragonal

Unit cell a=8.832 b=8.832 c=4.572 alpha=90.00 beta=90.00 gamma=90.00
Element x y z (fractional)
O  0.000  0.000  0.500
Mg  0.000  0.500  0.000
O  0.500  0.221  0.000
Mg  0.000  0.269  0.500
O  0.000  0.500  0.500
Rb  0.500  0.500  0.000
O  0.752  0.752  0.500
O  0.500  0.779  0.000
Mg  0.500  0.249  0.500
O  0.000  0.264  0.000
O  0.000  0.736  0.000
O  0.264  0.000  0.000
Mg  0.741  0.259  0.000
Mg  0.269  0.000  0.500
O  0.248  0.248  0.500
Mg  0.000  0.731  0.500
O  0.736  0.000  0.000
Mg  0.259  0.741  0.000
O  0.752  0.248  0.500
Mg  0.500  0.000  0.000
O  0.500  0.000  0.500
La  0.000  0.000  0.000
Mg  0.500  0.751  0.500
Mg  0.731  0.000  0.500
Mg  0.741  0.741  0.000
Mg  0.259  0.259  0.000
O  0.221  0.500  0.000
Mg  0.249  0.500  0.500
O  0.248  0.752  0.500
O  0.779  0.500  0.000
O  0.500  0.500  0.500
Mg  0.751  0.500  0.500

=====

The following is a PBE calculation of a relaxed RbLaMg14O16 crystal, from Materials Project.

Total magnetization in μB per formula unit: 0.000
ΔE to the lowest computed polymorph in eV per atom: 0.031
Crystal system: orthorhombic

Unit cell a=8.782 b=9.054 c=4.553 alpha=90.00 beta=90.00 gamma=90.00
Element x y z (fractional)
Mg  0.500  0.254  0.500
O  0.749  0.250  0.500
O  0.500  0.500  0.500
O  0.500  0.753  0.000
Mg  0.000  0.733  0.500
La  0.000  0.000  0.000
O  0.251  0.750  0.500
O  0.000  0.500  0.500
O  0.000  0.759  0.000
Mg  0.733  0.000  0.500
Mg  0.257  0.500  0.500
Mg  0.263  0.260  0.000
Mg  0.737  0.740  0.000
O  0.500  0.247  0.000
O  0.727  0.000  0.000
Mg  0.500  0.746  0.500
Mg  0.500  0.500  0.000
O  0.273  0.000  0.000
O  0.500  0.000  0.500
O  0.000  0.000  0.500
Mg  0.500  0.000  0.000
Mg  0.267  0.000  0.500
Mg  0.000  0.267  0.500
O  0.718  0.500  0.000
Mg  0.743  0.500  0.500
O  0.749  0.750  0.500
O  0.000  0.241  0.000
O  0.282  0.500  0.000
Rb  0.000  0.500  0.000
Mg  0.263  0.740  0.000
Mg  0.737  0.260  0.000
O  0.251  0.250  0.500

=====

The following is a PBE calculation of a relaxed La5MgRe3O16 crystal, from Materials Project.

Total magnetization in μB per formula unit: 2.002
Crystal system: triclinic

Unit cell a=5.675 b=5.677 c=10.263 alpha=93.37 beta=93.43 gamma=90.72
Element x y z (fractional)
La  0.485  0.973  0.803
O  0.298  0.802  0.001
O  0.222  0.220  0.676
La  0.000  0.000  0.500
Mg  0.500  0.500  0.000
O  0.071  0.079  0.184
Re  0.000  0.000  0.000
O  0.929  0.921  0.816
O  0.310  0.305  0.435
O  0.778  0.780  0.324
O  0.701  0.230  0.636
Re  0.557  0.556  0.394
O  0.690  0.695  0.565
O  0.542  0.545  0.802
O  0.299  0.770  0.364
Re  0.443  0.444  0.606
O  0.776  0.304  0.366
O  0.702  0.198  0.999
O  0.458  0.455  0.198
La  0.966  0.492  0.795
O  0.191  0.281  0.963
La  0.034  0.508  0.205
O  0.224  0.696  0.634
O  0.809  0.719  0.037
La  0.515  0.027  0.197

=====

The following is a PBE calculation of a relaxed La2MgRhO6 crystal, from Materials Project.

Total magnetization in μB per formula unit: 0.999
Crystal system: monoclinic

Unit cell a=5.713 b=5.592 c=9.719 alpha=54.77 beta=90.00 gamma=90.00
Element x y z (fractional)
O  0.290  0.751  0.547
Rh  0.000  0.000  0.500
O  0.210  0.751  0.047
La  0.952  0.739  0.251
O  0.024  0.160  0.253
Rh  0.500  0.000  0.000
O  0.524  0.840  0.247
Mg  0.500  0.500  0.500
O  0.795  0.662  0.547
O  0.790  0.249  0.953
O  0.295  0.338  0.953
O  0.476  0.160  0.753
O  0.976  0.840  0.747
O  0.710  0.249  0.453
La  0.548  0.739  0.751
O  0.705  0.662  0.047
Mg  0.000  0.500  0.000
La  0.048  0.261  0.749
La  0.452  0.261  0.249
O  0.205  0.338  0.453

=====

The following is a PBE calculation of a relaxed SrLaMgRuO6 crystal, from Materials Project.

Total magnetization in μB per formula unit: 3.000
Crystal system: monoclinic

Unit cell a=5.651 b=5.641 c=9.724 alpha=54.83 beta=90.00 gamma=90.00
Element x y z (fractional)
Sr  0.226  0.245  0.251
O  0.484  0.818  0.460
O  0.971  0.166  0.042
O  0.029  0.166  0.542
O  0.962  0.767  0.458
O  0.516  0.818  0.960
La  0.718  0.760  0.250
O  0.760  0.328  0.257
Ru  0.751  0.999  0.500
Mg  0.753  0.500  0.001
La  0.282  0.760  0.750
O  0.527  0.226  0.538
O  0.733  0.691  0.743
O  0.240  0.328  0.757
O  0.038  0.767  0.958
O  0.473  0.226  0.038
Ru  0.249  0.999  0.000
O  0.267  0.691  0.243
Mg  0.247  0.500  0.501
Sr  0.774  0.245  0.751

=====

The following is a PBE calculation of a relaxed Sr2La2MgRuO8 crystal, from Materials Project.

Total magnetization in μB per formula unit: 0.019
ΔE to the lowest computed polymorph in eV per atom: 0.036
Crystal system: tetragonal

Unit cell a=3.899 b=3.899 c=12.752 alpha=90.00 beta=90.00 gamma=90.00
Element x y z (fractional)
O  0.500  0.000  0.000
Ru  0.500  0.500  0.500
O  0.500  0.500  0.667
O  0.000  0.000  0.829
Sr  0.000  0.000  0.646
O  0.500  0.500  0.333
O  0.000  0.500  0.000
O  0.500  0.000  0.500
La  0.500  0.500  0.137
La  0.500  0.500  0.863
O  0.000  0.500  0.500
Mg  0.000  0.000  0.000
Sr  0.000  0.000  0.354
O  0.000  0.000  0.171

=====

The following is a PBE calculation of a relaxed Sr2La2MgRu3O12 crystal, from Materials Project.

Total magnetization in μB per formula unit: 5.998
ΔE to the lowest computed polymorph in eV per atom: 0.000
Crystal system: triclinic

Unit cell a=5.640 b=5.654 c=7.920 alpha=89.97 beta=89.86 gamma=89.98
Element x y z (fractional)
O  0.283  0.718  0.548
La  0.969  0.016  0.240
O  0.985  0.425  0.750
O  0.518  0.933  0.257
O  0.770  0.763  0.962
Sr  0.475  0.496  0.244
Ru  0.000  0.499  0.999
Ru  0.501  0.001  0.499
O  0.731  0.272  0.452
La  0.528  0.510  0.759
O  0.276  0.715  0.957
O  0.219  0.219  0.452
O  0.218  0.225  0.042
O  0.009  0.588  0.249
O  0.490  0.086  0.743
Ru  0.001  0.501  0.501
O  0.735  0.271  0.040
Mg  0.498  0.000  0.000
O  0.769  0.770  0.549
Sr  0.026  0.991  0.756

=====

Number 1: energy of formation -0.29 eV/atom. Number 2: energy of formation -0.31 eV/atom. Number 3: energy of formation -0.31 eV/atom. Number 4: energy of formation -0.31 eV/atom. Number 5: energy of formation -2.65 eV/atom. Number 6: energy of formation -2.78 eV/atom. Number 7: energy of formation -2.75 eV/atom. Number 8: energy of formation -3.10 eV/atom. Number 9: energy of formation -2.95 eV/atom. Number 10: energy of formation -2.81 eV/atom. Number 11: energy of formation -2.99 eV/atom. Number 12: energy of formation -2.60 eV/atom.